Below is a geometry-optimized Tb3Al5O12 structure, with properties calculated at the GGA-PBE level.

Spin magnetization in μB per cell: 0.0
Total energy after the MP2020 corrections in eV per atom: -8.29

abc: 10.516 10.516 10.516
angles: 109.47 109.47 109.47
Sites, in units of the cell vectors:
Al  0.500  0.000  0.000
Al  0.500  0.500  0.500
Al  0.500  0.500  0.000
O  0.019  0.199  0.118
O  0.118  0.599  0.919
O  0.801  0.882  0.981
O  0.382  0.581  0.901
O  0.699  0.519  0.618
Tb  0.375  0.750  0.125
O  0.581  0.901  0.382
O  0.320  0.919  0.301
O  0.581  0.180  0.199
Al  0.000  0.000  0.000
Tb  0.750  0.125  0.375
Al  0.000  0.500  0.000
Tb  0.125  0.375  0.750
Tb  0.875  0.750  0.625
O  0.180  0.199  0.581
O  0.618  0.699  0.519
O  0.882  0.981  0.801
Al  0.375  0.625  0.750
Tb  0.250  0.875  0.625
O  0.680  0.081  0.699
Al  0.250  0.125  0.875
Al  0.250  0.625  0.375
O  0.382  0.301  0.481
O  0.199  0.581  0.180
Tb  0.625  0.875  0.750
O  0.180  0.481  0.599
O  0.901  0.382  0.581
O  0.419  0.099  0.618
O  0.118  0.019  0.199
Al  0.000  0.000  0.500
O  0.481  0.599  0.180
Al  0.875  0.125  0.750
O  0.820  0.801  0.419
Tb  0.250  0.375  0.125
Tb  0.625  0.250  0.875
O  0.301  0.481  0.382
O  0.519  0.401  0.820
Al  0.375  0.250  0.625
O  0.199  0.118  0.019
O  0.019  0.320  0.901
Tb  0.375  0.125  0.250
Al  0.125  0.875  0.250
O  0.401  0.820  0.519
O  0.599  0.919  0.118
Al  0.000  0.500  0.500
O  0.301  0.320  0.919
O  0.919  0.118  0.599
O  0.820  0.519  0.401
Tb  0.875  0.625  0.250
O  0.081  0.699  0.680
O  0.519  0.618  0.699
O  0.099  0.618  0.419
O  0.401  0.081  0.882
O  0.419  0.820  0.801
O  0.919  0.301  0.320
O  0.801  0.419  0.820
O  0.099  0.981  0.680
O  0.618  0.419  0.099
Tb  0.750  0.625  0.875
O  0.680  0.099  0.981
O  0.882  0.401  0.081
O  0.699  0.680  0.081
O  0.981  0.801  0.882
Al  0.750  0.375  0.625
Al  0.750  0.875  0.125
O  0.320  0.901  0.019
O  0.481  0.382  0.301
Tb  0.125  0.250  0.375
Al  0.625  0.750  0.375
Al  0.500  0.000  0.500
O  0.981  0.680  0.099
Al  0.125  0.750  0.875
O  0.901  0.019  0.320
Al  0.875  0.250  0.125
Al  0.625  0.375  0.250
O  0.081  0.882  0.401
O  0.599  0.180  0.481

Below is a geometry-optimized Al2Te4O11 structure, with properties calculated at the GGA-PBE level.

Total energy after the MP2020 corrections in eV per atom: -6.44

abc: 7.629 6.949 9.678
angles: 80.03 90.00 90.00
Sites, in units of the cell vectors:
O  0.135  0.058  0.549
O  0.317  0.369  0.849
Al  0.997  0.182  0.385
O  0.817  0.631  0.651
O  0.645  0.335  0.984
O  0.355  0.665  0.016
O  0.865  0.942  0.451
Al  0.497  0.818  0.115
O  0.120  0.708  0.784
Te  0.860  0.355  0.677
Te  0.856  0.824  0.914
Te  0.140  0.645  0.323
O  0.000  0.000  0.000
Al  0.003  0.818  0.615
O  0.500  0.000  0.500
Te  0.144  0.176  0.086
Te  0.640  0.355  0.177
Te  0.356  0.176  0.586
O  0.683  0.631  0.151
O  0.855  0.335  0.484
Te  0.644  0.824  0.414
O  0.365  0.058  0.049
O  0.374  0.031  0.769
O  0.874  0.969  0.731
O  0.380  0.708  0.284
O  0.183  0.369  0.349
Te  0.360  0.645  0.823
O  0.126  0.031  0.269
O  0.620  0.292  0.716
O  0.880  0.292  0.216
Al  0.503  0.182  0.885
O  0.635  0.942  0.951
O  0.145  0.665  0.516
O  0.626  0.969  0.231

Below is a geometry-optimized Ti3AlO6 structure, with properties calculated at the GGA-PBE level.

Spin magnetization in μB per cell: 3.1
Total energy after the MP2020 corrections in eV per atom: -8.96

abc: 5.951 5.951 14.538
angles: 90.00 90.00 120.00
Sites, in units of the cell vectors:
O  0.833  0.666  0.085
O  0.961  0.481  0.260
O  0.481  0.961  0.740
O  0.333  0.667  0.582
O  0.519  0.481  0.260
Ti  0.000  0.000  0.500
O  0.000  0.000  0.753
Ti  0.682  0.841  0.663
O  0.170  0.340  0.420
Ti  0.318  0.159  0.337
Ti  0.500  0.000  0.000
Ti  0.000  0.500  0.000
O  0.000  0.000  0.247
O  0.660  0.830  0.420
O  0.481  0.519  0.740
O  0.170  0.830  0.420
O  0.830  0.170  0.580
O  0.167  0.334  0.915
Ti  0.159  0.841  0.663
O  0.334  0.167  0.085
Ti  0.667  0.333  0.180
Ti  0.841  0.159  0.337
Al  0.000  0.000  0.875
O  0.667  0.333  0.418
Al  0.000  0.000  0.125
O  0.833  0.167  0.085
O  0.666  0.833  0.915
Ti  0.841  0.682  0.337
Ti  0.159  0.318  0.663
O  0.039  0.519  0.740
Al  0.667  0.333  0.541
Ti  0.500  0.500  0.000
O  0.519  0.039  0.260
Al  0.333  0.667  0.459
Ti  0.333  0.667  0.820
O  0.667  0.333  0.935
O  0.830  0.660  0.580
O  0.333  0.667  0.065
O  0.340  0.170  0.580
O  0.167  0.833  0.915

Below is a geometry-optimized Ti2AlO4 structure, with properties calculated at the GGA-PBE level.

Spin magnetization in μB per cell: 0.0
Total energy after the MP2020 corrections in eV per atom: -8.45
Energy above the most stable polymorph in this dataset in meV per atom: 337

abc: 6.478 6.478 6.478
angles: 130.38 130.38 72.80
Sites, in units of the cell vectors:
Ti  0.875  0.125  0.750
Ti  0.875  0.125  0.250
Al  0.250  0.750  0.500
O  0.467  0.500  0.413
O  0.662  0.195  0.913
Ti  0.875  0.625  0.750
O  0.500  0.912  0.967
O  0.088  0.055  0.587
O  0.945  0.533  0.033
O  0.805  0.717  0.467
O  0.283  0.750  0.087
Al  0.500  0.500  0.000
O  0.250  0.338  0.533
Ti  0.375  0.125  0.250

Result set for energy of formation from the pure elements: -3.691, -2.056, -3.253, -2.834 eV per atom, one per record in the order listed.